Record 1
Density functional theory data (PBE) for a relaxed structure of OsOF5.

MP2020-corrected energy, eV per atom: -5.68
Volume, Å³/f.u.: 111
Maximum piezoelectric response, C/m²: 0.08
Calculated density, g/cm³: 4.50

Structure (POSCAR):
```
OsOF5
1.0
9.686 0.000 0.000
0.000 5.166 0.000
0.000 0.000 8.882
Os O F
4 4 20
direct
0.128 0.082 0.000
0.372 0.582 0.500
0.628 0.418 0.000
0.872 0.918 0.500
0.226 0.949 0.862
0.274 0.449 0.362
0.726 0.551 0.862
0.774 0.051 0.362
0.004 0.802 0.012
0.005 0.253 0.869
0.018 0.228 0.156
0.231 0.389 0.015
0.231 0.939 0.159
0.269 0.439 0.659
0.269 0.889 0.515
0.482 0.728 0.656
0.495 0.753 0.369
0.496 0.302 0.512
0.504 0.698 0.012
0.505 0.247 0.869
0.518 0.272 0.156
0.731 0.111 0.015
0.731 0.561 0.159
0.769 0.061 0.659
0.769 0.611 0.515
0.982 0.772 0.656
0.995 0.747 0.369
0.996 0.198 0.512
```

***

Record 2
Density functional theory data (PBE) for a relaxed structure of OsO2F2.

Polymorph energy (0 for the lowest one), eV per atom: 0.7196
MP2020-corrected energy, eV per atom: -5.85
Volume, Å³/f.u.: 100
Calculated density, g/cm³: 4.31

Structure (POSCAR):
```
OsO2F2
1.0
5.768 0.000 0.000
2.056 5.419 0.000
2.246 -0.260 6.409
Os O F
2 4 4
direct
0.136 0.027 0.339
0.864 0.973 0.661
0.354 0.200 0.327
0.450 0.223 0.123
0.550 0.777 0.877
0.646 0.800 0.673
0.111 0.702 0.737
0.387 0.708 0.294
0.613 0.292 0.706
0.889 0.298 0.263
```

***

Record 3
Density functional theory data (PBE) for a relaxed structure of OsO2F2.

Polymorph energy (0 for the lowest one), eV per atom: 0.0000
MP2020-corrected energy, eV per atom: -6.57
Volume, Å³/f.u.: 102
Calculated density, g/cm³: 4.26

Structure (POSCAR):
```
OsO2F2
1.0
5.740 0.000 0.000
2.673 5.089 0.000
2.593 1.001 6.953
Os O F
2 4 4
direct
0.247 0.204 0.250
0.753 0.796 0.750
0.189 0.158 0.057
0.307 0.946 0.431
0.693 0.054 0.569
0.811 0.842 0.943
0.008 0.556 0.301
0.493 0.359 0.210
0.507 0.641 0.790
0.992 0.444 0.699
```

***

Record 4
Density functional theory data (PBE) for a relaxed structure of Os2O3F7.

MP2020-corrected energy, eV per atom: -6.12
Volume, Å³/f.u.: 186
Calculated density, g/cm³: 5.02

Structure (POSCAR):
```
Os2O3F7
1.0
5.734 0.000 0.000
0.000 10.392 0.000
-2.246 0.000 12.461
Os O F
8 12 28
direct
0.009 0.249 0.001
0.009 0.251 0.501
0.344 0.512 0.716
0.344 0.988 0.216
0.656 0.012 0.784
0.656 0.488 0.284
0.991 0.749 0.499
0.991 0.751 0.999
0.403 0.075 0.333
0.403 0.425 0.833
0.476 0.657 0.750
0.476 0.843 0.250
0.479 0.559 0.362
0.479 0.941 0.862
0.521 0.059 0.138
0.521 0.441 0.638
0.524 0.157 0.750
0.524 0.343 0.250
0.597 0.575 0.167
0.597 0.925 0.667
0.028 0.555 0.724
0.028 0.945 0.224
0.091 0.669 0.132
0.091 0.831 0.632
0.102 0.156 0.139
0.102 0.344 0.639
0.190 0.598 0.553
0.190 0.902 0.053
0.192 0.109 0.557
0.192 0.391 0.057
0.255 0.684 0.945
0.255 0.816 0.445
0.270 0.176 0.950
0.270 0.324 0.450
0.730 0.676 0.550
0.730 0.824 0.050
0.745 0.184 0.555
0.745 0.316 0.055
0.808 0.609 0.943
0.808 0.891 0.443
0.810 0.098 0.947
0.810 0.402 0.447
0.898 0.656 0.361
0.898 0.844 0.861
0.909 0.169 0.368
0.909 0.331 0.868
0.972 0.055 0.776
0.972 0.445 0.276
```

***

Record 5
Density functional theory data (PBE) for a relaxed structure of OsOF4.

Polymorph energy (0 for the lowest one), eV per atom: 0.0023
MP2020-corrected energy, eV per atom: -5.91
Volume, Å³/f.u.: 93
Maximum piezoelectric response, C/m²: 0.05
Calculated density, g/cm³: 5.01

Structure (POSCAR):
```
OsOF4
1.0
5.786 0.000 0.000
0.000 9.823 0.000
0.000 0.000 13.157
Os O F
8 8 32
direct
0.105 0.232 0.300
0.146 0.490 0.986
0.354 0.510 0.486
0.395 0.768 0.800
0.605 0.268 0.700
0.646 0.010 0.014
0.854 0.990 0.514
0.895 0.732 0.200
0.104 0.572 0.530
0.138 0.819 0.225
0.362 0.181 0.725
0.396 0.428 0.030
0.604 0.928 0.470
0.638 0.681 0.775
0.862 0.319 0.275
0.896 0.072 0.970
0.070 0.862 0.466
0.089 0.112 0.553
0.102 0.589 0.126
0.109 0.109 0.190
0.128 0.406 0.857
0.151 0.348 0.429
0.159 0.870 0.862
0.175 0.661 0.731
0.325 0.339 0.231
0.341 0.130 0.362
0.349 0.652 0.929
0.372 0.594 0.357
0.391 0.891 0.690
0.398 0.411 0.626
0.411 0.888 0.053
0.430 0.138 0.966
0.570 0.638 0.534
0.589 0.388 0.447
0.602 0.911 0.874
0.609 0.391 0.810
0.628 0.094 0.143
0.651 0.152 0.571
0.659 0.630 0.138
0.675 0.839 0.269
0.825 0.161 0.769
0.841 0.370 0.638
0.849 0.848 0.071
0.872 0.906 0.643
0.891 0.609 0.310
0.898 0.089 0.374
0.911 0.612 0.947
0.930 0.362 0.034
```

***

Record 6
Density functional theory data (PBE) for a relaxed structure of OsO3F2.

MP2020-corrected energy, eV per atom: -6.69
Volume, Å³/f.u.: 91
Calculated density, g/cm³: 5.02

Structure (POSCAR):
```
OsO3F2
1.0
5.676 0.000 0.000
0.000 5.161 0.000
-2.036 0.000 12.473
Os O F
4 12 8
direct
0.191 0.212 0.360
0.191 0.288 0.860
0.809 0.712 0.140
0.809 0.788 0.640
0.245 0.100 0.973
0.245 0.400 0.473
0.325 0.575 0.903
0.325 0.925 0.403
0.384 0.163 0.782
0.384 0.337 0.282
0.616 0.663 0.718
0.616 0.837 0.218
0.675 0.075 0.597
0.675 0.425 0.097
0.755 0.600 0.527
0.755 0.900 0.027
0.041 0.026 0.213
0.041 0.474 0.713
0.123 0.617 0.116
0.123 0.883 0.616
0.877 0.117 0.384
0.877 0.383 0.884
0.959 0.526 0.287
0.959 0.974 0.787
```

***

Record 7
Density functional theory data (PBE) for a relaxed structure of OsO2F4.

Polymorph energy (0 for the lowest one), eV per atom: 0.0224
MP2020-corrected energy, eV per atom: -5.93
Volume, Å³/f.u.: 154
Calculated density, g/cm³: 3.21

Structure (POSCAR):
```
OsO2F4
1.0
9.524 0.000 0.000
-4.762 8.248 0.000
0.000 0.000 11.784
Os O F
6 12 24
direct
0.010 0.532 0.000
0.468 0.478 0.333
0.478 0.010 0.167
0.522 0.990 0.667
0.532 0.522 0.833
0.990 0.468 0.500
0.022 0.575 0.142
0.189 0.614 0.486
0.386 0.575 0.819
0.425 0.447 0.476
0.425 0.811 0.153
0.447 0.022 0.309
0.553 0.978 0.809
0.575 0.189 0.653
0.575 0.553 0.976
0.614 0.425 0.319
0.811 0.386 0.986
0.978 0.425 0.642
0.011 0.284 0.475
0.040 0.557 0.839
0.057 0.361 0.001
0.243 0.653 0.992
0.273 0.989 0.142
0.284 0.273 0.308
0.304 0.943 0.668
0.347 0.590 0.325
0.361 0.304 0.834
0.410 0.757 0.658
0.443 0.483 0.172
0.483 0.040 0.005
0.517 0.960 0.505
0.557 0.517 0.672
0.590 0.243 0.158
0.639 0.696 0.334
0.653 0.410 0.825
0.696 0.057 0.168
0.716 0.727 0.808
0.727 0.011 0.642
0.757 0.347 0.492
0.943 0.639 0.501
0.960 0.443 0.339
0.989 0.716 0.975
```

***

Record 8
Density functional theory data (PBE) for a relaxed structure of OsO2F4.

Polymorph energy (0 for the lowest one), eV per atom: 0.0000
MP2020-corrected energy, eV per atom: -5.95
Volume, Å³/f.u.: 101
Calculated density, g/cm³: 4.88

Structure (POSCAR):
```
OsO2F4
1.0
5.021 0.000 0.000
-2.511 4.348 0.000
0.000 0.000 27.872
Os O F
6 12 24
direct
0.010 0.465 0.000
0.456 0.990 0.667
0.465 0.456 0.833
0.535 0.544 0.333
0.544 0.010 0.167
0.990 0.535 0.500
0.180 0.737 0.705
0.257 0.739 0.960
0.261 0.518 0.294
0.263 0.443 0.039
0.443 0.180 0.872
0.482 0.743 0.627
0.518 0.257 0.127
0.557 0.820 0.372
0.737 0.557 0.539
0.739 0.482 0.794
0.743 0.261 0.460
0.820 0.263 0.205
0.039 0.256 0.539
0.044 0.865 0.461
0.135 0.179 0.795
0.149 0.479 0.870
0.179 0.044 0.628
0.216 0.961 0.205
0.227 0.662 0.132
0.256 0.216 0.372
0.329 0.851 0.537
0.338 0.565 0.465
0.435 0.773 0.798
0.479 0.329 0.703
0.521 0.671 0.203
0.565 0.227 0.298
0.662 0.435 0.965
0.671 0.149 0.037
0.744 0.784 0.872
0.773 0.338 0.632
0.784 0.039 0.705
0.821 0.956 0.128
0.851 0.521 0.370
0.865 0.821 0.295
0.956 0.135 0.961
0.961 0.744 0.039
```